Computed, not measured: a relaxed Li7Mn4CoO12 crystal at the PBE with a Hubbard U level of DFT.

Results
Formation energy   -49.329 eV/f.u.
Final energy   -149.3 eV per cell
Space group   No. 1
Energy above the lowest structure with this stoichiometry   0.029 eV/atom

```
Li7Mn4CoO12
1.0
5.0422 0.0000 0.0000
-1.5541 4.8395 0.0000
-0.3716 -0.4023 8.9190
Li Mn Co O
7 4 1 12
Cartesian
0.0000 0.0000 0.0000
-1.0816 2.1211 7.4997
-0.0871 -0.0839 3.0207
0.7186 4.6132 4.6691
2.4689 -0.0331 1.4977
2.2666 -0.2457 7.4228
4.7563 -0.2390 6.1281
4.0712 2.2106 4.6171
-0.8061 2.4072 1.4892
1.4915 2.1427 6.1098
1.6154 2.3196 3.0321
1.8070 2.4949 0.0050
0.6296 1.0857 4.6482
0.1250 3.4579 0.2059
0.7587 1.2612 1.6269
-0.1127 3.2713 5.9595
0.0212 3.4492 2.9563
0.7079 1.0581 7.4800
2.3713 3.2754 4.5923
3.0216 1.0273 6.0208
2.2281 3.2734 7.4483
3.3453 1.3446 0.1769
2.6614 3.5208 1.4612
3.3205 1.3032 2.9726
```



Computed, not measured: a relaxed Li7Mn2Co3O12 crystal at the PBE with a Hubbard U level of DFT.

Results
Formation energy   -44.053 eV/f.u.
Final energy   -139.9 eV per cell
Space group   No. 2
Energy above the lowest structure with this stoichiometry   0.098 eV/atom

```
Li7Mn2Co3O12
1.0
3.0260 0.0000 0.0000
-0.9911 7.7416 0.0000
-0.2935 -3.7821 9.3666
Li Mn Co O
7 2 3 12
Cartesian
0.0000 0.0000 0.0000
0.0447 1.0018 3.8621
-0.1028 -0.8893 8.6354
0.2948 4.8624 7.0651
1.4466 -0.9030 2.3014
1.8442 4.8488 0.7311
1.6967 2.9576 5.5045
0.2660 3.8829 3.0987
1.4754 0.0765 6.2679
-0.1467 -1.8910 4.6833
0.1319 2.1061 7.8770
1.6095 1.8534 1.4896
-0.2318 -1.3836 6.5576
-0.0630 0.6139 1.9074
0.2900 3.3188 1.2578
0.1537 1.5136 6.0160
0.4072 6.2164 0.2103
0.3262 4.4474 4.9617
1.4152 -0.4879 4.4049
1.3342 -2.2570 9.1563
1.5878 2.4459 3.3506
1.4514 0.6406 8.1087
1.8044 3.3456 7.4592
1.9732 5.3430 2.8089
```



Computed, not measured: a relaxed Li4MnCo2O7 crystal at the PBE with a Hubbard U level of DFT.

Results
Formation energy   -25.676 eV/f.u.
Final energy   -163.1 eV per cell
Space group   No. 8
Energy above the lowest structure with this stoichiometry   0.050 eV/atom

```
Li4MnCo2O7
1.0
14.8200 -1.4545 0.0000
14.8200 1.4545 0.0000
-0.6045 0.0000 5.8571
Li Mn Co O
8 2 4 14
Cartesian
0.0000 0.0000 0.0000
29.3481 0.0000 2.8070
4.2597 0.0000 0.3695
8.1773 0.0000 3.7252
12.7785 0.0000 1.1986
16.3804 0.0000 4.5807
21.1384 0.0000 2.0610
24.9977 0.0000 5.4103
3.9569 0.0000 3.3135
16.6803 0.0000 1.5923
8.5100 0.0000 0.8179
12.4696 0.0000 4.1923
20.8201 0.0000 4.9812
25.3083 0.0000 2.4611
1.7947 0.0000 2.9345
2.1457 0.0000 0.3143
6.4202 0.0000 0.5052
6.1017 0.0000 3.6200
10.5483 0.0000 1.1090
10.5146 0.0000 3.8709
14.1921 0.0000 4.3110
14.8798 0.0000 1.4055
18.7767 0.0000 1.9584
18.6575 0.0000 4.6524
22.8322 0.0000 5.2632
23.2528 0.0000 2.2315
27.2966 0.0000 2.7569
27.0273 0.0000 5.4805
```



Computed, not measured: a relaxed Li7Mn2Co3O12 crystal at the PBE with a Hubbard U level of DFT.

Results
Formation energy   -44.370 eV/f.u.
Final energy   -140.3 eV per cell
Space group   No. 8
Energy above the lowest structure with this stoichiometry   0.085 eV/atom

```
Li7Mn2Co3O12
1.0
4.9408 -1.4524 0.0000
4.9408 1.4524 0.0000
-2.6106 0.0000 15.1754
Li Mn Co O
7 2 3 12
Cartesian
0.0000 0.0000 0.0000
-1.7055 0.0000 9.9608
-0.7359 0.0000 5.0169
3.7139 0.0000 7.3160
2.8865 0.0000 12.4772
4.6418 0.0000 2.5096
6.3751 0.0000 6.2259
0.9945 0.0000 8.6700
0.1506 0.0000 13.8288
1.9343 0.0000 3.9218
7.2446 0.0000 1.3209
5.5494 0.0000 11.2594
1.0319 0.0000 1.6984
0.1585 0.0000 7.0507
-0.6399 0.0000 12.0182
3.5225 0.0000 0.3969
1.8508 0.0000 10.6098
2.8254 0.0000 5.4730
5.6181 0.0000 4.2575
4.7673 0.0000 9.3843
3.9157 0.0000 14.3683
7.1206 0.0000 8.2123
6.2872 0.0000 13.2464
8.0941 0.0000 2.9575
```



Computed, not measured: a relaxed Li2MnCoO4 crystal at the PBE with a Hubbard U level of DFT.

Results
Formation energy   -14.992 eV/f.u.
Final energy   -97.6 eV per cell
Space group   No. 12
Energy above the lowest structure with this stoichiometry   0.061 eV/atom

```
Li2MnCoO4
1.0
2.6495 -1.4393 0.0000
2.6495 1.4393 0.0000
-2.6346 0.0000 19.6014
Li Mn Co O
4 2 2 8
Cartesian
0.0000 0.0000 0.0000
-1.3173 0.0000 9.8007
0.6666 0.0000 14.6563
1.9977 0.0000 4.9451
-0.9890 0.0000 17.1432
3.6533 0.0000 2.4582
0.3404 0.0000 7.3601
2.3240 0.0000 12.2413
-1.1881 0.0000 13.3777
0.2805 0.0000 3.5763
1.7121 0.0000 1.3137
0.5460 0.0000 11.1321
2.1183 0.0000 8.4694
0.9523 0.0000 18.2877
2.3838 0.0000 16.0252
3.8524 0.0000 6.2238
```



Computed, not measured: a relaxed Li5Mn2CoO8 crystal at the PBE with a Hubbard U level of DFT.

Results
Formation energy   -31.904 eV/f.u.
Final energy   -192.0 eV per cell
Space group   No. 8
Energy above the lowest structure with this stoichiometry   0.040 eV/atom

```
Li5Mn2CoO8
1.0
5.0977 -5.7342 0.0000
5.0977 5.7342 0.0000
-1.7888 0.0000 4.7899
Li Mn Co O
10 4 2 16
Cartesian
0.0000 0.0000 0.0000
6.7451 -2.8672 2.4045
2.5340 1.4970 0.0174
5.0925 2.8715 0.0145
2.5340 -1.4970 0.0174
6.7451 2.8672 2.4045
5.0910 0.0000 0.0319
7.6403 1.4614 0.0137
5.0925 -2.8715 0.0145
7.6403 -1.4614 0.0137
4.2072 4.2852 2.3823
4.1876 1.4482 2.4360
4.1876 -1.4482 2.4360
4.2072 -4.2852 2.3823
1.6515 0.0000 2.4132
6.7485 0.0000 2.4130
-0.1160 0.0000 3.4846
3.4945 2.8608 1.2925
5.8281 4.3346 1.3271
2.5684 1.3971 3.4810
4.9021 2.8743 3.5226
3.4144 0.0000 1.3348
2.5684 -1.3971 3.4810
5.8277 1.3491 1.4057
4.9042 0.0000 3.5471
3.4945 -2.8608 1.2925
5.8277 -1.3491 1.4057
7.6612 1.3501 3.4106
4.9021 -2.8743 3.5226
8.5831 0.0000 1.2757
7.6612 -1.3501 3.4106
5.8281 -4.3346 1.3271
```



Computed, not measured: a relaxed Li7Mn4CoO12 crystal at the PBE with a Hubbard U level of DFT.

Results
Formation energy   -49.062 eV/f.u.
Final energy   -149.0 eV per cell
Space group   No. 1
Energy above the lowest structure with this stoichiometry   0.040 eV/atom

```
Li7Mn4CoO12
1.0
5.9445 0.0000 0.0000
-1.4257 6.3584 0.0000
-2.8273 -1.3852 5.7227
Li Mn Co O
7 4 1 12
Cartesian
0.0000 0.0000 0.0000
-1.4014 1.7488 1.8762
-2.7697 3.3396 3.7962
0.1913 3.3946 3.7811
0.2393 -1.3109 5.6645
1.6549 1.8312 1.8734
3.0956 4.0715 0.9137
0.0989 -0.6255 2.8024
0.0965 4.0845 0.8976
-1.2388 1.0338 4.7840
3.1036 -0.6351 2.8110
1.6596 1.0808 4.7910
-1.2566 3.8651 2.3012
-1.1926 -0.8671 4.2370
0.2150 2.1971 0.4422
0.0068 5.9801 1.4019
0.0585 1.2697 3.3439
-1.3404 2.9055 5.2490
2.9651 2.0765 0.3382
1.5166 3.8644 2.2721
1.5924 -0.9005 4.0850
4.5850 -0.2986 1.5625
3.2270 1.2526 3.4156
1.8520 3.0065 5.3056
```



Computed, not measured: a relaxed Li5MnCo2O8 crystal at the PBE with a Hubbard U level of DFT.

Results
Formation energy   -27.194 eV/f.u.
Final energy   -89.3 eV per cell
Space group   No. 160
Energy above the lowest structure with this stoichiometry   0.186 eV/atom

```
Li5MnCo2O8
1.0
1.4679 0.8475 19.9452
-1.4679 0.8475 19.9452
0.0000 -1.6950 19.9452
Li Mn Co O
5 1 2 8
Cartesian
0.0000 0.0000 0.0000
0.0000 0.0000 7.5172
0.0000 0.0000 15.1613
0.0000 0.0000 29.7537
0.0000 0.0000 45.0079
0.0000 0.0000 52.4525
0.0000 0.0000 22.4167
0.0000 0.0000 37.4519
0.0000 0.0000 3.4657
0.0000 0.0000 11.5234
0.0000 0.0000 18.6046
0.0000 0.0000 26.1384
0.0000 0.0000 33.6226
0.0000 0.0000 41.2707
0.0000 0.0000 48.7082
0.0000 0.0000 56.2711
```